(1)
First-principles (GGA-PBE) data for PrAgSb2 after structural relaxation, as listed in the Materials Project.

Lattice parameters (Å, degrees): 4.4256 4.4256 10.7888 90.00 90.00 90.00
Positions (direct):
Ag 0.0000 0.0000 0.5000
Sb 0.5000 0.5000 0.0000
Ag 0.5000 0.5000 0.5000
Pr 0.5000 0.0000 0.2376
Sb 0.0000 0.5000 0.3253
Sb 0.5000 0.0000 0.6747
Pr 0.0000 0.5000 0.7624
Sb 0.0000 0.0000 0.0000

(2)
First-principles (GGA-PBE) data for Pr5AgSe8 after structural relaxation, as listed in the Materials Project.

Properties
maximum piezoelectric response: 0.25 C/m²

Lattice parameters (Å, degrees): 7.7965 7.7965 7.7965 109.89 109.89 108.64
Positions (direct):
Pr 0.3782 0.7616 0.8790
Ag 0.0000 0.0000 0.0000
Se 0.4953 0.2376 0.1050
Se 0.1164 0.3646 0.3885
Pr 0.7500 0.2500 0.5000
Se 0.9761 0.7279 0.6115
Pr 0.8825 0.4992 0.1210
Se 0.2721 0.8836 0.2482
Se 0.7624 0.8674 0.2577
Pr 0.5008 0.6218 0.3834
Se 0.6354 0.0239 0.7518
Se 0.6097 0.5047 0.7423
Pr 0.2384 0.1175 0.6166
Se 0.1326 0.3903 0.8950

(3)
First-principles (GGA-PBE) data for Pr3SiAgSe7 after structural relaxation, as listed in the Materials Project.

Properties
maximum piezoelectric response: 0.81 C/m²
spin magnetization: 0.0001 μB per atom

Lattice parameters (Å, degrees): 10.8330 10.8330 6.0961 90.00 90.00 120.00
Positions (direct):
Pr 0.6427 0.7681 0.7399
Ag 0.0000 0.0000 0.6956
Pr 0.1254 0.3573 0.7399
Se 0.1757 0.9059 0.2251
Pr 0.8746 0.6427 0.2399
Si 0.3333 0.6667 0.3291
Si 0.6667 0.3333 0.8291
Se 0.5876 0.4776 0.9793
Pr 0.7681 0.1254 0.2399
Pr 0.3573 0.2319 0.2399
Se 0.4124 0.5224 0.4793
Se 0.7302 0.8243 0.2251
Se 0.0941 0.2698 0.2251
Se 0.8900 0.4124 0.9793
Pr 0.2319 0.8746 0.7399
Se 0.2698 0.1757 0.7251
Se 0.5224 0.1100 0.9793
Ag 0.0000 0.0000 0.1956
Se 0.4776 0.8900 0.4793
Se 0.6667 0.3333 0.4560
Se 0.8243 0.0941 0.7251
Se 0.1100 0.5876 0.4793
Se 0.3333 0.6667 0.9560
Se 0.9059 0.7302 0.7251

(4)
First-principles (GGA-PBE) data for PrSi2Ag after structural relaxation, as listed in the Materials Project.

Lattice parameters (Å, degrees): 9.0799 9.0799 4.2498 90.00 90.00 152.68
Positions (direct):
Si 0.1647 0.8353 0.7500
Si 0.9675 0.0325 0.2500
Si 0.8353 0.1647 0.2500
Pr 0.4030 0.5970 0.7500
Si 0.0325 0.9675 0.7500
Ag 0.2516 0.7484 0.2500
Ag 0.7484 0.2516 0.7500
Pr 0.5970 0.4030 0.2500

(5)
First-principles (GGA-PBE) data for PrSiAg after structural relaxation, as listed in the Materials Project.

Properties
spin magnetization: 0.0529 μB per atom

Lattice parameters (Å, degrees): 4.1617 4.3906 4.3906 120.00 90.00 90.00
Positions (direct):
Ag 0.0000 0.3333 0.6667
Pr 0.5000 0.6667 0.3333
Si 0.0000 0.0000 0.0000

(6)
First-principles (GGA-PBE) data for PrSiAg after structural relaxation, as listed in the Materials Project.

Properties
spin magnetization: 0.0000 μB per atom

Lattice parameters (Å, degrees): 8.1917 8.1917 8.1917 149.66 149.66 43.45
Positions (direct):
Pr 0.5811 0.5811 0.0000
Si 0.9997 0.9997 0.0000
Ag 0.9162 0.4162 0.5000
Ag 0.1662 0.1662 0.0000
Si 0.7497 0.2497 0.5000
Pr 0.3311 0.8311 0.5000

(7)
First-principles (GGA-PBE) data for Pr5AgSn3 after structural relaxation, as listed in the Materials Project.

Lattice parameters (Å, degrees): 9.6520 9.6520 6.8404 90.00 90.00 120.00
Positions (direct):
Pr 0.0000 0.7261 0.2500
Sn 0.6209 0.6209 0.2500
Pr 0.6667 0.3333 0.0000
Pr 0.7261 0.7261 0.7500
Sn 0.0000 0.6209 0.7500
Sn 0.6209 0.0000 0.7500
Ag 0.0000 0.0000 0.0000
Ag 0.0000 0.0000 0.5000
Pr 0.6667 0.3333 0.5000
Pr 0.3333 0.6667 0.0000
Pr 0.7261 0.0000 0.2500
Sn 0.3791 0.3791 0.7500
Pr 0.2739 0.2739 0.2500
Sn 0.0000 0.3791 0.2500
Pr 0.2739 0.0000 0.7500
Pr 0.0000 0.2739 0.7500
Sn 0.3791 0.0000 0.2500
Pr 0.3333 0.6667 0.5000

(8)
First-principles (GGA-PBE) data for PrAgSn after structural relaxation, as listed in the Materials Project.

Lattice parameters (Å, degrees): 4.8405 4.8405 7.7356 90.00 90.00 120.00
Positions (direct):
Pr 0.0000 0.0000 0.2491
Pr 0.0000 0.0000 0.7491
Sn 0.3333 0.6667 0.5283
Ag 0.6667 0.3333 0.4476
Sn 0.6667 0.3333 0.0283
Ag 0.3333 0.6667 0.9476

(9)
First-principles (GGA-PBE) data for Pr2TlAg after structural relaxation, as listed in the Materials Project.

Lattice parameters (Å, degrees): 5.4785 5.4785 5.4785 60.00 60.00 60.00
Positions (direct):
Tl 0.0000 0.0000 0.0000
Pr 0.7500 0.7500 0.7500
Pr 0.2500 0.2500 0.2500
Ag 0.5000 0.5000 0.5000

(10)
First-principles (GGA-PBE) data for Ag3Pt after structural relaxation, as listed in the Materials Project.

Lattice parameters (Å, degrees): 4.1040 4.1040 4.1040 90.00 90.00 90.00
Positions (direct):
Ag 0.0000 0.5000 0.5000
Ag 0.5000 0.0000 0.5000
Pt 0.0000 0.0000 0.0000
Ag 0.5000 0.5000 0.0000

(11)
First-principles (GGA-PBE) data for AgPt after structural relaxation, as listed in the Materials Project.

Lattice parameters (Å, degrees): 2.8263 2.8263 4.8002 90.00 90.00 120.00
Positions (direct):
Ag 0.3333 0.6667 0.5000
Pt 0.0000 0.0000 0.0000

(12)
First-principles (GGA-PBE) data for AgPt after structural relaxation, as listed in the Materials Project.

Lattice parameters (Å, degrees): 5.0284 5.0284 5.0284 32.69 32.69 32.69
Positions (direct):
Ag 0.0000 0.0000 0.0000
Pt 0.5000 0.5000 0.5000

Values for mass density, Mg/m³, ordered as above
7.7 6.6 6.0 6.3 6.6 6.6 7.0 7.8 8.5 12.5 15.1 15.2
Values for DFT formation energy, meV/atom, ordered as above
-785 -1953 -1620 -515 -481 -474 -642 -621 -320 13 -23 -35